[1]
Here is a relaxed Fe35SiO48 crystal from the Materials Project database. Energies are from PBE with a Hubbard U.

Unit cell a=10.5357 b=10.4686 c=10.4686 alpha=60.40 beta=99.93 gamma=80.07
Last column: nearest neighbours and their distance in Å.
Sites, in units of the cell vectors:
Fe: 0.8141 0.7344 0.1048  6 O 2.09-2.31
Fe: 0.8141 0.8952 0.2656  6 O 2.09-2.31
Fe: 0.5638 0.8118 0.1882  6 O 2.00-2.10
Fe: 0.8120 0.8989 0.7693  6 O 2.00-2.21
Fe: 0.8095 0.5617 0.4383  6 O 2.01-2.11
Fe: 0.8120 0.2307 0.1011  6 O 2.00-2.21
Fe: 0.6223 0.7951 0.5427  4 O 1.99-2.06
Fe: 0.6223 0.4573 0.2049  4 O 1.99-2.06
Fe: 0.8149 0.0589 0.4352  6 O 2.00-2.07
Fe: 0.3130 0.8933 0.2781  5 O 1.96-2.06
Fe: 0.8149 0.5648 0.9411  6 O 2.00-2.07
Fe: 0.8100 0.3966 0.7735  5 O 2.00-2.08
Fe: 0.3130 0.7219 0.1067  5 O 1.96-2.06
Fe: 0.8100 0.2265 0.6034  5 O 2.00-2.08
Fe: 0.5002 0.5035 0.4965  4 O 2.01-2.07
Fe: 0.5013 0.8317 0.8377  4 O 2.02-2.06
Fe: 0.5013 0.1623 0.1683  4 O 2.02-2.06
Fe: 0.3131 0.7263 0.6052  6 O 2.07-2.14
Fe: 0.3131 0.3948 0.2737  6 O 2.07-2.14
Fe: 0.0670 0.9734 0.3595  5 O 1.99-2.04
Fe: 0.5578 0.4856 0.8500  6 O 1.97-2.15
Fe: 0.0670 0.6405 0.0266  5 O 1.99-2.04
Fe: 0.5578 0.1500 0.5144  6 O 1.97-2.15
Fe: 0.1254 0.6238 0.3762  4 O 1.92-1.93
Fe: 0.1263 0.2923 0.0422  4 O 2.02-2.07
Fe: 0.6213 0.1277 0.8723  4 O 1.88-1.94
Fe: 0.1263 0.9578 0.7077  4 O 2.02-2.07
Fe: 0.3120 0.5617 0.9379  6 O 2.03-2.06
Fe: 0.3120 0.0621 0.4383  6 O 2.03-2.06
Fe: 0.3140 0.4021 0.7688  6 O 1.99-2.10
Fe: 0.3140 0.2312 0.5979  6 O 1.99-2.10
Fe: 0.9984 0.6669 0.6673  4 O 2.02-2.08
Fe: 0.9984 0.3327 0.3331  4 O 2.02-2.08
Fe: 0.3099 0.0637 0.9363  6 O 1.99-2.19
Fe: 0.0658 0.3117 0.6883  6 O 2.01-2.22
Si: 0.0020 0.0033 0.9967  4 O 1.67-1.71
O: 0.9394 0.8725 0.4646  4 Fe 2.00-2.14
O: 0.9394 0.5354 0.1275  4 Fe 2.00-2.14
O: 0.9317 0.6836 0.3164  4 Fe 1.92-2.11
O: 0.6755 0.9375 0.0625  2 Fe 1.88-2.05
O: 0.6965 0.9507 0.5668  4 Fe 2.00-2.08
O: 0.6872 0.7624 0.3855  4 Fe 2.00-2.19
O: 0.6872 0.6145 0.2376  4 Fe 2.00-2.19
O: 0.6965 0.4332 0.0493  4 Fe 2.00-2.08
O: 0.9326 0.1716 0.3050  4 Fe 2.01-2.07
O: 0.9459 0.0264 0.1263  1 Si 1.67
O: 0.9326 0.6950 0.8284  4 Fe 2.01-2.07
O: 0.9317 0.4986 0.6509  4 Fe 2.02-2.08
O: 0.9459 0.8737 0.9736  1 Si 1.67
O: 0.9317 0.3491 0.5014  4 Fe 2.02-2.08
O: 0.4250 0.7082 0.2918  4 Fe 2.01-2.10
O: 0.7070 0.7700 0.8952  4 Fe 2.01-2.10
O: 0.1724 0.9474 0.0526  1 Si 1.69
O: 0.7092 0.4222 0.5778  4 Fe 2.00-2.08
O: 0.7070 0.1048 0.2300  4 Fe 2.01-2.10
O: 0.9441 0.1758 0.8242  1 Si 1.71
O: 0.4209 0.8597 0.4699  4 Fe 1.96-2.10
O: 0.6950 0.2511 0.4149  4 Fe 2.00-2.07
O: 0.9187 0.3602 0.9714  4 Fe 2.00-2.07
O: 0.4209 0.5301 0.1403  4 Fe 1.96-2.10
O: 0.6950 0.5851 0.7489  4 Fe 2.00-2.07
O: 0.9187 0.0286 0.6398  4 Fe 2.00-2.07
O: 0.1936 0.9366 0.5477  4 Fe 1.99-2.07
O: 0.6907 0.1032 0.7234  4 Fe 1.94-2.15
O: 0.1936 0.4523 0.0634  4 Fe 1.99-2.07
O: 0.1872 0.6094 0.2206  4 Fe 1.92-2.14
O: 0.1872 0.7794 0.3906  4 Fe 1.92-2.14
O: 0.6907 0.2766 0.8968  4 Fe 1.94-2.15
O: 0.4206 0.8592 0.9917  4 Fe 1.99-2.10
O: 0.4353 0.5157 0.6609  4 Fe 2.00-2.09
O: 0.4353 0.3391 0.4843  4 Fe 2.00-2.09
O: 0.4206 0.0083 0.1408  4 Fe 1.99-2.10
O: 0.4347 0.1825 0.3290  4 Fe 1.97-2.10
O: 0.4347 0.6710 0.8175  4 Fe 1.97-2.10
O: 0.4336 0.0379 0.6304  4 Fe 2.02-2.06
O: 0.2040 0.2626 0.4038  4 Fe 1.99-2.08
O: 0.2040 0.5962 0.7374  4 Fe 1.99-2.08
O: 0.4336 0.3696 0.9621  4 Fe 2.02-2.06
O: 0.4259 0.1930 0.8070  4 Fe 1.93-2.12
O: 0.1910 0.4286 0.5714  4 Fe 1.93-2.10
O: 0.1922 0.0846 0.2478  4 Fe 2.02-2.05
O: 0.1922 0.7522 0.9154  4 Fe 2.02-2.05
O: 0.1955 0.2707 0.8786  4 Fe 2.01-2.07
O: 0.1955 0.1214 0.7293  4 Fe 2.01-2.07

Output
**Energy of formation**: -1.0316 eV per atom
**Space group**: Cm
**Calculated density**: 4.84 g cm⁻³

[2]
Here is a relaxed FeSiO4 crystal from the Materials Project database. Energies are from PBE with a Hubbard U.

Unit cell a=5.4520 b=6.0425 c=6.1372 alpha=90.00 beta=90.00 gamma=90.00
Last column: nearest neighbours and their distance in Å.
Sites, in units of the cell vectors:
Fe: 0.5207 0.8214 0.0000  4 O 1.84-1.86
Fe: 0.0207 0.1786 0.5000  4 O 1.84-1.86
Si: 0.5229 0.8650 0.5000  4 O 1.63-1.65
Si: 0.0229 0.1350 0.0000  4 O 1.63-1.65
O: 0.5694 0.7143 0.2805  1 Si 1.65
O: 0.5694 0.7143 0.7195  1 Si 1.65
O: 0.0694 0.2857 0.2195  1 Si 1.65
O: 0.0694 0.2857 0.7805  1 Si 1.65
O: 0.6960 0.0853 0.5000  1 Si 1.63
O: 0.1960 0.9147 0.0000  1 Si 1.63
O: 0.7339 0.0579 0.0000  1 Si 1.64
O: 0.2339 0.9421 0.5000  1 Si 1.64

Output
**Energy of formation**: -2.0682 eV per atom
**Space group**: Pmn2_1
**Calculated density**: 2.43 g cm⁻³

[3]
Here is a relaxed FeSiO4 crystal from the Materials Project database. Energies are from PBE with a Hubbard U.

Unit cell a=5.4028 b=6.0762 c=11.6147 alpha=90.00 beta=90.00 gamma=90.00
Last column: nearest neighbours and their distance in Å.
Sites, in units of the cell vectors:
Fe: 0.6891 0.2500 0.4091  4 O 1.85-1.86
Fe: 0.3109 0.7500 0.5909  4 O 1.85-1.86
Fe: 0.1891 0.7500 0.0909  4 O 1.85-1.86
Fe: 0.8109 0.2500 0.9091  4 O 1.85-1.86
Si: 0.1940 0.2500 0.5679  4 O 1.63-1.65
Si: 0.8060 0.7500 0.4321  4 O 1.63-1.65
Si: 0.6940 0.7500 0.9321  4 O 1.63-1.65
Si: 0.3060 0.2500 0.0679  4 O 1.63-1.65
O: 0.8985 0.2500 0.5354  1 Si 1.64
O: 0.1015 0.7500 0.4646  1 Si 1.64
O: 0.3985 0.7500 0.9646  1 Si 1.64
O: 0.6015 0.2500 0.0354  1 Si 1.64
O: 0.3568 0.2500 0.4499  1 Si 1.63
O: 0.6432 0.7500 0.5501  1 Si 1.63
O: 0.8568 0.7500 0.0501  1 Si 1.63
O: 0.1432 0.2500 0.9499  1 Si 1.63
O: 0.2549 0.0314 0.6469  1 Si 1.65
O: 0.7451 0.9686 0.3531  1 Si 1.65
O: 0.7549 0.9686 0.8531  1 Si 1.65
O: 0.2451 0.0314 0.1469  1 Si 1.65
O: 0.7451 0.5314 0.3531  1 Si 1.65
O: 0.2549 0.4686 0.6469  1 Si 1.65
O: 0.2451 0.4686 0.1469  1 Si 1.65
O: 0.7549 0.5314 0.8531  1 Si 1.65

Output
**Energy of formation**: -2.0833 eV per atom
**Space group**: Pnma
**Calculated density**: 2.58 g cm⁻³

Magnetization, record by record: 0.04, 0.67, 0.67 μB per atom